Computed, not measured: a relaxed structure of K2Ag4S3 at the PBE level of DFT.

Summary:
- SG: C2/m (12)
- Formation energy from the elements: -647.3 meV/atom
- MP2020-corrected energy: -31.79 eV/f.u.

Unit cell a=9.176 b=9.176 c=11.741 alpha=72.10 beta=72.10 gamma=27.12
Atoms (fractional coordinates):
S: 0.467 0.467 0.274
Ag: 0.410 0.410 0.086
Ag: 0.985 0.985 0.878
S: 0.533 0.533 0.726
Ag: 0.407 0.407 0.510
S: 0.160 0.160 0.388
S: 0.840 0.840 0.612
S: 0.146 0.146 0.958
K: 0.332 0.332 0.841
S: 0.854 0.854 0.042
Ag: 0.590 0.590 0.914
Ag: 0.023 0.023 0.367
K: 0.668 0.668 0.159
K: 0.186 0.186 0.659
Ag: 0.977 0.977 0.633
Ag: 0.015 0.015 0.122
Ag: 0.593 0.593 0.490
K: 0.814 0.814 0.341

Computed, not measured: a relaxed structure of K3Ta2Ag3S8 at the PBE level of DFT.

Summary:
- Total magnetization: 0.00 μB per atom
- SG: C2/c (15)
- Formation energy from the elements: -1160.5 meV/atom
- MP2020-corrected energy: -87.20 eV/f.u.

Unit cell a=12.911 b=12.911 c=14.373 alpha=61.19 beta=61.19 gamma=26.88
Atoms (fractional coordinates):
S: 0.984 0.818 0.884
K: 0.633 0.761 0.398
K: 0.000 0.000 0.000
Ag: 0.288 0.712 0.750
S: 0.708 0.713 0.110
Ta: 0.583 0.162 0.279
S: 0.182 0.016 0.616
Ag: 0.338 0.916 0.214
S: 0.448 0.458 0.153
S: 0.818 0.984 0.384
Ag: 0.916 0.338 0.714
Ag: 0.084 0.662 0.286
Ag: 0.712 0.288 0.250
S: 0.552 0.542 0.847
Ag: 0.662 0.084 0.786
S: 0.458 0.448 0.653
S: 0.223 0.092 0.817
S: 0.713 0.708 0.610
S: 0.287 0.292 0.390
Ta: 0.417 0.838 0.721
Ta: 0.838 0.417 0.221
Ta: 0.162 0.583 0.779
S: 0.292 0.287 0.890
K: 0.761 0.633 0.898
S: 0.542 0.552 0.347
S: 0.092 0.223 0.317
S: 0.016 0.182 0.116
K: 0.367 0.239 0.602
K: 0.000 0.000 0.500
S: 0.908 0.777 0.683
K: 0.239 0.367 0.102
S: 0.777 0.908 0.183

Computed, not measured: a relaxed structure of K2TaAgS4 at the PBE level of DFT.

Summary:
- Total magnetization: 0.00 μB per atom
- E above lowest polymorph: 0.0 meV/atom
- SG: Fddd (70)
- Formation energy from the elements: -1284.7 meV/atom
- MP2020-corrected energy: -43.73 eV/f.u.

Unit cell a=13.387 b=11.933 c=7.399 alpha=84.17 beta=62.47 gamma=33.36
Atoms (fractional coordinates):
Ta: 0.000 0.000 0.000
Ag: 0.500 0.500 0.500
K: 0.820 0.820 0.180
K: 0.180 0.180 0.820
S: 0.743 0.372 0.053
K: 0.070 0.070 0.430
S: 0.372 0.743 0.831
S: 0.197 0.419 0.507
S: 0.831 0.053 0.372
S: 0.419 0.197 0.878
S: 0.878 0.507 0.419
K: 0.430 0.430 0.070
S: 0.507 0.878 0.197
Ag: 0.750 0.750 0.750
S: 0.053 0.831 0.743
Ta: 0.250 0.250 0.250